1.
Here is a relaxed structure of Cs3GaAs2 from the Materials Project database. Energies are from r2SCAN.

Values from the calculation:
The value obtained for the formation energy is -3.7 eV/f.u.

Cell: 8.944 11.439 19.568 Å, 80.50 90.00 90.00°
Sites, in units of the cell vectors:
1 Cs 0.924 0.376 0.890
2 Cs 0.424 0.624 0.610
3 Cs 0.076 0.624 0.110
4 Cs 0.576 0.376 0.390
5 Cs 0.379 0.293 0.840
6 Cs 0.879 0.707 0.660
7 Cs 0.621 0.707 0.160
8 Cs 0.121 0.293 0.340
9 Cs 0.526 0.154 0.031
10 Cs 0.026 0.846 0.469
11 Cs 0.474 0.846 0.969
12 Cs 0.974 0.154 0.531
13 Cs 0.409 0.259 0.576
14 Cs 0.909 0.741 0.924
15 Cs 0.591 0.741 0.424
16 Cs 0.091 0.259 0.076
17 Cs 0.048 0.079 0.758
18 Cs 0.548 0.921 0.742
19 Cs 0.952 0.921 0.242
20 Cs 0.452 0.079 0.258
21 Cs 0.742 0.360 0.708
22 Cs 0.242 0.640 0.792
23 Cs 0.258 0.640 0.292
24 Cs 0.758 0.360 0.208
25 Ga 0.881 0.046 0.944
26 Ga 0.381 0.954 0.556
27 Ga 0.119 0.954 0.056
28 Ga 0.619 0.046 0.444
29 Ga 0.056 0.461 0.576
30 Ga 0.556 0.539 0.924
31 Ga 0.944 0.539 0.424
32 Ga 0.444 0.461 0.076
33 As 0.701 0.105 0.859
34 As 0.201 0.895 0.641
35 As 0.299 0.895 0.141
36 As 0.799 0.105 0.359
37 As 0.845 0.953 0.065
38 As 0.345 0.047 0.435
39 As 0.155 0.047 0.935
40 As 0.655 0.953 0.565
41 As 0.798 0.492 0.531
42 As 0.298 0.508 0.969
43 As 0.202 0.508 0.469
44 As 0.702 0.492 0.031
45 As 0.143 0.400 0.690
46 As 0.643 0.600 0.810
47 As 0.857 0.600 0.310
48 As 0.357 0.400 0.190

=====

2.
Here is a relaxed structure of CsMoAsH2O7 from the Materials Project database. Energies are from r2SCAN.

Values from the calculation:
The value obtained for the formation energy is -20.4 eV/f.u.

Cell: 7.787 9.924 11.012 Å, 64.37 70.21 73.76°
Sites, in units of the cell vectors:
1 Cs 0.676 0.695 0.330
2 Cs 0.324 0.305 0.670
3 Cs 0.803 0.319 0.050
4 Cs 0.197 0.681 0.950
5 Mo 0.126 0.758 0.367
6 Mo 0.874 0.242 0.633
7 Mo 0.868 0.687 0.693
8 Mo 0.132 0.313 0.307
9 As 0.204 0.958 0.558
10 As 0.796 0.042 0.442
11 As 0.693 0.923 0.866
12 As 0.307 0.077 0.134
13 H 0.492 0.871 0.611
14 H 0.508 0.129 0.389
15 H 0.679 0.001 0.032
16 H 0.321 0.999 0.968
17 H 0.472 0.537 0.181
18 H 0.528 0.463 0.819
19 H 0.518 0.694 0.067
20 H 0.482 0.306 0.933
21 O 0.090 0.846 0.542
22 O 0.910 0.154 0.458
23 O 0.299 0.090 0.404
24 O 0.701 0.910 0.596
25 O 0.079 0.035 0.677
26 O 0.921 0.965 0.323
27 O 0.386 0.828 0.619
28 O 0.614 0.172 0.381
29 O 0.692 0.099 0.739
30 O 0.308 0.901 0.261
31 O 0.857 0.789 0.818
32 O 0.143 0.211 0.182
33 O 0.480 0.879 0.925
34 O 0.520 0.121 0.075
35 O 0.771 0.923 0.995
36 O 0.229 0.077 0.005
37 O 0.036 0.550 0.761
38 O 0.964 0.450 0.239
39 O 0.671 0.609 0.777
40 O 0.329 0.391 0.223
41 O 0.099 0.724 0.236
42 O 0.901 0.276 0.764
43 O 0.294 0.615 0.430
44 O 0.706 0.385 0.570
45 O 0.921 0.677 0.516
46 O 0.079 0.323 0.484
47 O 0.570 0.599 0.131
48 O 0.430 0.401 0.869

=====

3.
Here is a relaxed structure of CsMnAs from the Materials Project database. Energies are from r2SCAN.

Values from the calculation:
The value obtained for the formation energy is -1.8 eV/f.u.

Cell: 4.448 4.448 12.334 Å, 90.00 90.00 90.00°
Sites, in units of the cell vectors:
1 Cs 0.250 0.250 0.732
2 Cs 0.750 0.750 0.268
3 Mn 0.250 0.750 0.000
4 Mn 0.750 0.250 0.000
5 As 0.250 0.250 0.115
6 As 0.750 0.750 0.885

=====

4.
Here is a relaxed structure of CsAsO3 from the Materials Project database. Energies are from r2SCAN.

Values from the calculation:
The value obtained for the formation energy is -8.2 eV/f.u.

Cell: 5.332 6.056 11.780 Å, 90.00 90.00 90.00°
Sites, in units of the cell vectors:
1 Cs 0.750 0.044 0.609
2 Cs 0.250 0.044 0.891
3 Cs 0.250 0.956 0.391
4 Cs 0.750 0.956 0.109
5 As 0.250 0.477 0.162
6 As 0.750 0.477 0.338
7 As 0.250 0.523 0.662
8 As 0.750 0.523 0.838
9 O 0.250 0.205 0.153
10 O 0.750 0.205 0.347
11 O 0.250 0.352 0.554
12 O 0.750 0.352 0.946
13 O 0.500 0.427 0.750
14 O 0.000 0.427 0.750
15 O 0.500 0.573 0.250
16 O 0.000 0.573 0.250
17 O 0.250 0.648 0.054
18 O 0.750 0.648 0.446
19 O 0.250 0.795 0.653
20 O 0.750 0.795 0.847

=====

5.
Here is a relaxed structure of Cs3AsO4 from the Materials Project database. Energies are from r2SCAN.

Values from the calculation:
The value obtained for the formation energy is -14.8 eV/f.u.

Cell: 6.635 9.070 12.549 Å, 90.00 90.00 90.00°
Sites, in units of the cell vectors:
1 Cs 0.189 0.993 0.355
2 Cs 0.857 0.750 0.925
3 Cs 0.643 0.750 0.425
4 Cs 0.143 0.250 0.075
5 Cs 0.357 0.250 0.575
6 Cs 0.689 0.007 0.145
7 Cs 0.811 0.493 0.645
8 Cs 0.311 0.507 0.855
9 Cs 0.811 0.007 0.645
10 Cs 0.311 0.993 0.855
11 Cs 0.189 0.507 0.355
12 Cs 0.689 0.493 0.145
13 As 0.274 0.750 0.113
14 As 0.726 0.250 0.887
15 As 0.774 0.250 0.387
16 As 0.226 0.750 0.613
17 O 0.629 0.405 0.392
18 O 0.129 0.595 0.108
19 O 0.371 0.905 0.608
20 O 0.871 0.095 0.892
21 O 0.371 0.595 0.608
22 O 0.871 0.405 0.892
23 O 0.629 0.095 0.392
24 O 0.129 0.905 0.108
25 O 0.060 0.750 0.509
26 O 0.411 0.750 0.229
27 O 0.940 0.250 0.491
28 O 0.440 0.750 0.009
29 O 0.089 0.750 0.729
30 O 0.589 0.250 0.771
31 O 0.911 0.250 0.271
32 O 0.560 0.250 0.991

=====

6.
Here is a relaxed structure of Cs3AsP3Se9 from the Materials Project database. Energies are from r2SCAN.

Values from the calculation:
The value obtained for the formation energy is -10.6 eV/f.u.

Cell: 8.152 13.360 19.963 Å, 78.01 90.00 90.00°
Sites, in units of the cell vectors:
1 Cs 0.032 0.303 0.079
2 Cs 0.532 0.197 0.921
3 Cs 0.968 0.697 0.921
4 Cs 0.468 0.803 0.079
5 Cs 0.528 0.083 0.260
6 Cs 0.028 0.417 0.740
7 Cs 0.472 0.917 0.740
8 Cs 0.972 0.583 0.260
9 Cs 0.521 0.312 0.568
10 Cs 0.021 0.188 0.432
11 Cs 0.479 0.688 0.432
12 Cs 0.979 0.812 0.568
13 As 0.502 0.440 0.177
14 As 0.002 0.060 0.823
15 As 0.498 0.560 0.823
16 As 0.998 0.940 0.177
17 P 0.611 0.346 0.359
18 P 0.111 0.154 0.641
19 P 0.389 0.654 0.641
20 P 0.889 0.846 0.359
21 P 0.876 0.068 0.675
22 P 0.376 0.432 0.325
23 P 0.124 0.932 0.325
24 P 0.624 0.568 0.675
25 P 0.614 0.456 0.020
26 P 0.114 0.044 0.980
27 P 0.386 0.544 0.980
28 P 0.886 0.956 0.020
29 Se 0.756 0.438 0.411
30 Se 0.256 0.062 0.589
31 Se 0.244 0.562 0.589
32 Se 0.744 0.938 0.411
33 Se 0.542 0.197 0.412
34 Se 0.042 0.303 0.588
35 Se 0.458 0.803 0.588
36 Se 0.958 0.697 0.412
37 Se 0.720 0.344 0.252
38 Se 0.220 0.156 0.748
39 Se 0.280 0.656 0.748
40 Se 0.780 0.844 0.252
41 Se 0.738 0.047 0.590
42 Se 0.238 0.453 0.410
43 Se 0.262 0.953 0.410
44 Se 0.762 0.547 0.590
45 Se 0.034 0.074 0.254
46 Se 0.534 0.426 0.746
47 Se 0.966 0.926 0.746
48 Se 0.466 0.574 0.254
49 Se 0.260 0.342 0.256
50 Se 0.760 0.158 0.744
51 Se 0.740 0.658 0.744
52 Se 0.240 0.842 0.256
53 Se 0.773 0.048 0.087
54 Se 0.273 0.452 0.913
55 Se 0.227 0.952 0.913
56 Se 0.727 0.548 0.087
57 Se 0.527 0.310 0.081
58 Se 0.027 0.190 0.919
59 Se 0.473 0.690 0.919
60 Se 0.973 0.810 0.081
61 Se 0.262 0.059 0.067
62 Se 0.762 0.441 0.933
63 Se 0.738 0.941 0.933
64 Se 0.238 0.559 0.067